The following is a DFT calculation (meta-GGA r2SCAN) of crystalline GdMgGa at its relaxed geometry. Values from VASP.

Structure (Quantum ESPRESSO input):
```
&SYSTEM
  ibrav = 0, nat = 9, ntyp = 3
/
ATOMIC_SPECIES
Gd 157.25 Gd.upf
Mg 24.30 Mg.upf
Ga 69.72 Ga.upf
CELL_PARAMETERS angstrom
7.316 0.000 0.000
-3.658 6.336 0.000
0.000 0.000 4.452
ATOMIC_POSITIONS crystal
Gd 0.000 0.574 0.000
Gd 0.426 0.426 0.000
Gd 0.574 0.000 0.000
Mg 0.000 0.243 0.500
Mg 0.243 0.000 0.500
Mg 0.757 0.757 0.500
Ga 0.000 0.000 0.000
Ga 0.333 0.667 0.500
Ga 0.667 0.333 0.500
```

Summary:
* crystal system: hexagonal
* E: -181.72 eV per cell
* energy relative to the elements: -0.52 eV per atom